Here is a relaxed K2NaScI6 crystal from Materials Project. Energies are from GGA-PBE.

Cell: 8.507 8.507 8.507 Å, 60.00 60.00 60.00°
Sites, in units of the cell vectors:
1 I 0.760 0.760 0.240
2 I 0.760 0.240 0.760
3 I 0.240 0.240 0.760
4 I 0.760 0.240 0.240
5 I 0.240 0.760 0.760
6 I 0.240 0.760 0.240
7 K 0.250 0.250 0.250
8 K 0.750 0.750 0.750
9 Sc 0.000 0.000 0.000
10 Na 0.500 0.500 0.500

symmetry	Fm-3m (225)
density	3.5	g/cm3
energy relative to the elements	-1.52	eV/atom